VASP calculation (GGA-PBE) on a geometry-optimized Lu6FeSb2 structure.

Formation enthalpy at 0 K in eV per atom: -0.598
Energy with MP2020 corrections in eV for the cell shown: -49.23
Space-group type: No. 189

Cell lengths 8.0164, 8.0164, 4.0679 Å; angles 90.00, 90.00, 120.00 degrees
With the nearest neighbours (Å) after each atom.
Element x y z (fractional)
Lu 0.0000 0.2331 0.0000  2 Fe 2.76
Lu 0.0000 0.6108 0.5000  1 Fe 3.12, 4 Sb 3.21, 4 Lu 3.40
Lu 0.2331 0.0000 0.0000  2 Fe 2.76
Lu 0.3892 0.3892 0.5000  1 Fe 3.12, 4 Sb 3.21, 4 Lu 3.40
Lu 0.6108 0.0000 0.5000  1 Fe 3.12, 4 Sb 3.21, 4 Lu 3.40
Lu 0.7669 0.7669 0.0000  2 Fe 2.76
Fe 0.0000 0.0000 0.5000  6 Lu 2.76
Sb 0.3333 0.6667 0.0000  9 Lu 3.15-3.21
Sb 0.6667 0.3333 0.0000  9 Lu 3.15-3.21